[1]
The following is a DFT calculation (GGA-PBE) of a relaxed Na6TaAl3Si2P4O24 crystal.

Unit cell a=8.7220 b=8.7423 c=21.6661 alpha=90.09 beta=90.13 gamma=119.78
Space group P1 (No. 1)
Unique sites:
Na 0.0000 0.0000 0.0000 [1 per cell]
Na 0.0002 0.0046 0.4984 [1 per cell]
Na 0.0244 0.3337 0.9161 [1 per cell]
Na 0.2992 0.3369 0.4211 [1 per cell]
Na 0.3268 0.3034 0.0852 [1 per cell]
Na 0.3268 0.6825 0.8341 [1 per cell]
Na 0.3325 0.6762 0.3335 [1 per cell]
Na 0.3347 0.0454 0.5834 [1 per cell]
Na 0.3631 0.0077 0.2604 [1 per cell]
Na 0.3689 0.3771 0.7568 [1 per cell]
Na 0.6290 0.0060 0.7543 [1 per cell]
Na 0.6635 0.3533 0.1747 [1 per cell]
Na 0.6647 0.9820 0.4164 [1 per cell]
Na 0.6892 0.3519 0.6682 [1 per cell]
Na 0.6898 0.6645 0.5846 [1 per cell]
Na 0.7004 0.0454 0.0895 [1 per cell]
Na 0.9620 0.6692 0.0912 [1 per cell]
Na 0.9948 0.3739 0.2569 [1 per cell]
Ta 0.3227 0.6765 0.4823 [1 per cell]
Ta 0.3308 0.6700 0.9810 [1 per cell]
Ta 0.9948 0.0089 0.6505 [1 per cell]
Al 0.0010 0.0042 0.8608 [1 per cell]
Al 0.3239 0.6744 0.6906 [1 per cell]
Al 0.3267 0.6700 0.1925 [1 per cell]
Al 0.6598 0.3373 0.5264 [1 per cell]
Al 0.6615 0.3433 0.3180 [1 per cell]
Al 0.6648 0.3418 0.0225 [1 per cell]
Al 0.6648 0.3460 0.8199 [1 per cell]
Al 0.9972 0.0025 0.3567 [1 per cell]
Al 0.9977 0.0088 0.1546 [1 per cell]
Si 0.0331 0.3792 0.0921 [1 per cell]
Si 0.0340 0.6577 0.5922 [1 per cell]
Si 0.3335 0.3925 0.5913 [1 per cell]
Si 0.3730 0.0598 0.4179 [1 per cell]
Si 0.3761 0.3257 0.9206 [1 per cell]
Si 0.6133 0.9667 0.5912 [1 per cell]
P 0.2875 0.3000 0.2549 [1 per cell]
P 0.2879 0.0028 0.7597 [1 per cell]
P 0.3298 0.9632 0.0929 [1 per cell]
P 0.6192 0.6741 0.0925 [1 per cell]
P 0.6659 0.0584 0.9199 [1 per cell]
P 0.6729 0.6287 0.4199 [1 per cell]
P 0.7061 0.0021 0.2547 [1 per cell]
P 0.7097 0.7160 0.7601 [1 per cell]
P 0.9383 0.6292 0.9221 [1 per cell]
P 0.9402 0.3372 0.4176 [1 per cell]
P 0.9923 0.7191 0.2539 [1 per cell]
P 0.9967 0.3050 0.7608 [1 per cell]
O 0.0177 0.1854 0.0972 [1 per cell]
O 0.0198 0.8417 0.5972 [1 per cell]
O 0.0231 0.2133 0.8171 [1 per cell]
O 0.0251 0.8430 0.3086 [1 per cell]
O 0.1252 0.5118 0.1499 [1 per cell]
O 0.1295 0.6369 0.6511 [1 per cell]
O 0.1313 0.6501 0.9283 [1 per cell]
O 0.1335 0.4996 0.4226 [1 per cell]
O 0.1595 0.1927 0.5962 [1 per cell]
O 0.1605 0.9788 0.0970 [1 per cell]
O 0.1640 0.4729 0.0308 [1 per cell]
O 0.1639 0.7015 0.2506 [1 per cell]
O 0.1653 0.7127 0.5309 [1 per cell]
O 0.1663 0.4832 0.7532 [1 per cell]
O 0.1675 0.2145 0.3117 [1 per cell]
O 0.1708 0.9844 0.8140 [1 per cell]
O 0.1724 0.1638 0.9168 [1 per cell]
O 0.1765 0.0373 0.4111 [1 per cell]
O 0.2014 0.0324 0.6999 [1 per cell]
O 0.2023 0.1800 0.1972 [1 per cell]
O 0.2957 0.4722 0.5276 [1 per cell]
O 0.2988 0.8427 0.0356 [1 per cell]
O 0.3020 0.4838 0.2482 [1 per cell]
O 0.3107 0.8397 0.7536 [1 per cell]
O 0.3511 0.5089 0.9263 [1 per cell]
O 0.3575 0.8610 0.4222 [1 per cell]
O 0.3632 0.8782 0.1497 [1 per cell]
O 0.3661 0.5131 0.6514 [1 per cell]
O 0.4595 0.1758 0.4801 [1 per cell]
O 0.4672 0.3124 0.9842 [1 per cell]
O 0.4729 0.3179 0.2609 [1 per cell]
O 0.4750 0.1711 0.7608 [1 per cell]
O 0.4918 0.3632 0.8591 [1 per cell]
O 0.4938 0.1478 0.0851 [1 per cell]
O 0.4945 0.6422 0.1464 [1 per cell]
O 0.4949 0.8736 0.9272 [1 per cell]
O 0.4959 0.8757 0.6518 [1 per cell]
O 0.4984 0.6455 0.4223 [1 per cell]
O 0.4995 0.1436 0.3579 [1 per cell]
O 0.5020 0.3652 0.5828 [1 per cell]
O 0.5170 0.8397 0.2491 [1 per cell]
O 0.5230 0.6975 0.7556 [1 per cell]
O 0.5290 0.8383 0.5292 [1 per cell]
O 0.5356 0.7108 0.0336 [1 per cell]
O 0.6346 0.1562 0.5805 [1 per cell]
O 0.6372 0.5083 0.0845 [1 per cell]
O 0.6396 0.1417 0.8616 [1 per cell]
O 0.6400 0.5082 0.3645 [1 per cell]
O 0.6882 0.1725 0.2568 [1 per cell]
O 0.6913 0.5507 0.4809 [1 per cell]
O 0.6921 0.5316 0.7627 [1 per cell]
O 0.6962 0.1714 0.9787 [1 per cell]
O 0.7942 0.9820 0.3134 [1 per cell]
O 0.8045 0.8393 0.0971 [1 per cell]
O 0.8062 0.9758 0.5946 [1 per cell]
O 0.8077 0.8450 0.8123 [1 per cell]
O 0.8143 0.8026 0.6988 [1 per cell]
O 0.8234 0.0305 0.1974 [1 per cell]
O 0.8263 0.0306 0.9149 [1 per cell]
O 0.8265 0.3128 0.4740 [1 per cell]
O 0.8259 0.3165 0.7632 [1 per cell]
O 0.8276 0.8195 0.4129 [1 per cell]
O 0.8310 0.5305 0.2599 [1 per cell]
O 0.8380 0.3594 0.0814 [1 per cell]
O 0.8401 0.4992 0.5796 [1 per cell]
O 0.8406 0.5479 0.9830 [1 per cell]
O 0.8607 0.5019 0.8673 [1 per cell]
O 0.8654 0.3658 0.3573 [1 per cell]
O 0.9597 0.8111 0.9142 [1 per cell]
O 0.9650 0.1722 0.4134 [1 per cell]
O 0.9659 0.1798 0.7035 [1 per cell]
O 0.9698 0.8017 0.1937 [1 per cell]

Summary:
- final energy (eV per atom) = -7.07
- formation energy (meV/atom) = -2924
- crystal system = triclinic
- spin magnetization (μB per cell) = 0.000



[2]
The following is a DFT calculation (GGA-PBE) of a relaxed Na7Ta2Al2Si5PO24 crystal.

Unit cell a=8.9282 b=8.9334 c=21.9198 alpha=89.62 beta=89.88 gamma=60.13
Space group P1 (No. 1)
Unique sites:
Na 0.0000 0.0000 0.0000 [1 per cell]
Na 0.0000 0.2648 0.4994 [1 per cell]
Na 0.0074 0.6191 0.7542 [1 per cell]
Na 0.0499 0.9286 0.6669 [1 per cell]
Na 0.0528 0.2802 0.1653 [1 per cell]
Na 0.3106 0.6633 0.1682 [1 per cell]
Na 0.3152 0.2846 0.6659 [1 per cell]
Na 0.3326 0.3350 0.3323 [1 per cell]
Na 0.3337 0.5979 0.8326 [1 per cell]
Na 0.3451 0.9593 0.5862 [1 per cell]
Na 0.3522 0.9627 0.0877 [1 per cell]
Na 0.3823 0.2634 0.0010 [1 per cell]
Na 0.3846 0.6144 0.5000 [1 per cell]
Na 0.6466 0.9998 0.5004 [1 per cell]
Na 0.6506 0.6168 0.9982 [1 per cell]
Na 0.6683 0.6655 0.6665 [1 per cell]
Na 0.6779 0.3041 0.4187 [1 per cell]
Na 0.6877 0.2940 0.9183 [1 per cell]
Na 0.7177 0.9502 0.8324 [1 per cell]
Na 0.9831 0.9497 0.3325 [1 per cell]
Na 0.9958 0.6311 0.2533 [1 per cell]
Ta 0.0097 0.6265 0.6013 [1 per cell]
Ta 0.0101 0.6282 0.1020 [1 per cell]
Ta 0.3395 0.9585 0.9348 [1 per cell]
Ta 0.3418 0.9567 0.4343 [1 per cell]
Ta 0.6765 0.2940 0.2683 [1 per cell]
Ta 0.6829 0.2940 0.7685 [1 per cell]
Al 0.0035 0.6294 0.8950 [1 per cell]
Al 0.0138 0.6199 0.3948 [1 per cell]
Al 0.3365 0.9685 0.2282 [1 per cell]
Al 0.3466 0.9534 0.7268 [1 per cell]
Al 0.6773 0.2927 0.5605 [1 per cell]
Al 0.6781 0.2861 0.0596 [1 per cell]
Si 0.0034 0.3436 0.9956 [1 per cell]
Si 0.0030 0.9178 0.4935 [1 per cell]
Si 0.0525 0.2589 0.3284 [1 per cell]
Si 0.0561 0.9538 0.8277 [1 per cell]
Si 0.3026 0.6183 0.9942 [1 per cell]
Si 0.3044 0.3392 0.4948 [1 per cell]
Si 0.3393 0.6729 0.3272 [1 per cell]
Si 0.3922 0.5829 0.6617 [1 per cell]
Si 0.3948 0.2792 0.1613 [1 per cell]
Si 0.6397 0.6709 0.8285 [1 per cell]
Si 0.6706 0.0080 0.6622 [1 per cell]
Si 0.7243 0.9186 0.9943 [1 per cell]
Si 0.7266 0.6199 0.4944 [1 per cell]
Si 0.9672 0.0056 0.1618 [1 per cell]
Si 0.9713 0.2855 0.6606 [1 per cell]
P 0.3356 0.2507 0.8277 [1 per cell]
P 0.6316 0.9513 0.3273 [1 per cell]
P 0.6716 0.5853 0.1616 [1 per cell]
O 0.0370 0.4454 0.3369 [1 per cell]
O 0.0388 0.7813 0.8353 [1 per cell]
O 0.0458 0.4221 0.0578 [1 per cell]
O 0.0459 0.7920 0.5550 [1 per cell]
O 0.1429 0.9884 0.8893 [1 per cell]
O 0.1445 0.1287 0.3887 [1 per cell]
O 0.1612 0.9795 0.1690 [1 per cell]
O 0.1622 0.1204 0.6709 [1 per cell]
O 0.1667 0.6553 0.3348 [1 per cell]
O 0.1739 0.1648 0.2700 [1 per cell]
O 0.1753 0.6611 0.0550 [1 per cell]
O 0.1766 0.4235 0.5555 [1 per cell]
O 0.1786 0.9280 0.7698 [1 per cell]
O 0.1808 0.1498 0.9910 [1 per cell]
O 0.1817 0.4325 0.8347 [1 per cell]
O 0.1821 0.9329 0.4915 [1 per cell]
O 0.1981 0.4590 0.1587 [1 per cell]
O 0.1982 0.5999 0.6587 [1 per cell]
O 0.2114 0.5890 0.9357 [1 per cell]
O 0.2149 0.4614 0.4362 [1 per cell]
O 0.3137 0.7960 0.2693 [1 per cell]
O 0.3173 0.7975 0.9919 [1 per cell]
O 0.3189 0.1604 0.7713 [1 per cell]
O 0.3223 0.1451 0.4908 [1 per cell]
O 0.3660 0.1155 0.1702 [1 per cell]
O 0.3679 0.7748 0.6692 [1 per cell]
O 0.3698 0.1337 0.8859 [1 per cell]
O 0.3733 0.7600 0.3889 [1 per cell]
O 0.4752 0.4576 0.7229 [1 per cell]
O 0.4785 0.3237 0.2217 [1 per cell]
O 0.4950 0.3160 0.5032 [1 per cell]
O 0.4956 0.4554 0.0035 [1 per cell]
O 0.5024 0.9846 0.6703 [1 per cell]
O 0.5063 0.2632 0.8256 [1 per cell]
O 0.5061 0.2680 0.1018 [1 per cell]
O 0.5100 0.4753 0.3247 [1 per cell]
O 0.5115 0.7628 0.8888 [1 per cell]
O 0.5123 0.7623 0.1710 [1 per cell]
O 0.5132 0.4916 0.6033 [1 per cell]
O 0.5189 0.9888 0.3869 [1 per cell]
O 0.5294 0.9382 0.9907 [1 per cell]
O 0.5335 0.7978 0.4909 [1 per cell]
O 0.5369 0.9344 0.2735 [1 per cell]
O 0.5452 0.7926 0.7696 [1 per cell]
O 0.6418 0.1279 0.6030 [1 per cell]
O 0.6424 0.4832 0.8261 [1 per cell]
O 0.6444 0.5017 0.1048 [1 per cell]
O 0.6463 0.1222 0.3238 [1 per cell]
O 0.7003 0.4540 0.5029 [1 per cell]
O 0.7005 0.1097 0.0029 [1 per cell]
O 0.7055 0.4619 0.2182 [1 per cell]
O 0.7102 0.0933 0.7228 [1 per cell]
O 0.8064 0.6622 0.5568 [1 per cell]
O 0.8128 0.7855 0.0534 [1 per cell]
O 0.8158 0.7992 0.3346 [1 per cell]
O 0.8270 0.6538 0.8368 [1 per cell]
O 0.8365 0.3180 0.0041 [1 per cell]
O 0.8377 0.1090 0.5017 [1 per cell]
O 0.8390 0.3280 0.7199 [1 per cell]
O 0.8426 0.5925 0.1594 [1 per cell]
O 0.8447 0.8321 0.9354 [1 per cell]
O 0.8472 0.0969 0.2231 [1 per cell]
O 0.8479 0.8144 0.6590 [1 per cell]
O 0.8557 0.5895 0.4392 [1 per cell]
O 0.8586 0.1250 0.8261 [1 per cell]
O 0.8643 0.2632 0.3256 [1 per cell]
O 0.8756 0.1297 0.1035 [1 per cell]
O 0.8815 0.2542 0.6021 [1 per cell]
O 0.9722 0.4720 0.9397 [1 per cell]
O 0.9760 0.8250 0.4351 [1 per cell]
O 0.9851 0.4638 0.6591 [1 per cell]
O 0.9886 0.8098 0.1595 [1 per cell]

Summary:
- final energy (eV per atom) = -7.25
- formation energy (meV/atom) = -2978
- crystal system = triclinic
- spin magnetization (μB per cell) = 0.000



[3]
The following is a DFT calculation (GGA-PBE) of a relaxed NaTa3AlSiP5O24 crystal.

Unit cell a=8.6771 b=8.6796 c=22.4629 alpha=90.10 beta=90.11 gamma=119.98
Space group P1 (No. 1)
Unique sites:
Na 0.0000 0.0000 0.0000 [1 per cell]
Na 0.0022 0.9983 0.5010 [1 per cell]
Na 0.3342 0.6671 0.6541 [1 per cell]
Ta 0.0008 0.9977 0.3520 [1 per cell]
Ta 0.3296 0.6647 0.3047 [1 per cell]
Ta 0.3326 0.6621 0.8045 [1 per cell]
Ta 0.3364 0.6629 0.0217 [1 per cell]
Ta 0.6679 0.3335 0.6816 [1 per cell]
Ta 0.6685 0.3335 0.1864 [1 per cell]
Ta 0.6693 0.3345 0.4727 [1 per cell]
Ta 0.6694 0.3344 0.9721 [1 per cell]
Ta 0.9991 0.9994 0.8497 [1 per cell]
Al 0.0001 0.9991 0.1417 [1 per cell]
Al 0.0010 0.9991 0.6390 [1 per cell]
Al 0.3332 0.6686 0.5167 [1 per cell]
Si 0.0510 0.3815 0.9121 [1 per cell]
Si 0.0577 0.6671 0.4162 [1 per cell]
Si 0.6193 0.6675 0.9125 [1 per cell]
P 0.0023 0.7205 0.7403 [1 per cell]
P 0.0039 0.2784 0.2419 [1 per cell]
P 0.2787 0.9979 0.2419 [1 per cell]
P 0.2810 0.2792 0.7406 [1 per cell]
P 0.3337 0.3884 0.4147 [1 per cell]
P 0.3336 0.9482 0.9124 [1 per cell]
P 0.3696 0.0353 0.5781 [1 per cell]
P 0.3713 0.3200 0.0804 [1 per cell]
P 0.6125 0.9437 0.4149 [1 per cell]
P 0.6672 0.6309 0.5780 [1 per cell]
P 0.6783 0.0481 0.0803 [1 per cell]
P 0.7197 0.9992 0.7403 [1 per cell]
P 0.7206 0.7230 0.2418 [1 per cell]
P 0.9530 0.6296 0.0804 [1 per cell]
P 0.9653 0.3317 0.5783 [1 per cell]
O 0.0280 0.8393 0.4038 [1 per cell]
O 0.0315 0.1932 0.1875 [1 per cell]
O 0.0314 0.8371 0.6872 [1 per cell]
O 0.0330 0.1872 0.9039 [1 per cell]
O 0.1363 0.6439 0.0707 [1 per cell]
O 0.1368 0.5019 0.8527 [1 per cell]
O 0.1411 0.6384 0.3539 [1 per cell]
O 0.1459 0.5000 0.5716 [1 per cell]
O 0.1636 0.1937 0.6873 [1 per cell]
O 0.1644 0.9678 0.1876 [1 per cell]
O 0.1673 0.1995 0.4038 [1 per cell]
O 0.1676 0.4660 0.2521 [1 per cell]
O 0.1687 0.6982 0.7491 [1 per cell]
O 0.1699 0.9712 0.9035 [1 per cell]
O 0.1731 0.4724 0.9705 [1 per cell]
O 0.1799 0.7037 0.4724 [1 per cell]
O 0.1869 0.1592 0.0880 [1 per cell]
O 0.1894 0.0233 0.5873 [1 per cell]
O 0.1993 0.0311 0.2992 [1 per cell]
O 0.2017 0.1727 0.7989 [1 per cell]
O 0.2991 0.8332 0.9679 [1 per cell]
O 0.3020 0.4701 0.4691 [1 per cell]
O 0.3050 0.4700 0.7491 [1 per cell]
O 0.3072 0.8376 0.2528 [1 per cell]
O 0.3607 0.4932 0.0724 [1 per cell]
O 0.3628 0.8564 0.5725 [1 per cell]
O 0.3641 0.8673 0.8556 [1 per cell]
O 0.3646 0.4968 0.3565 [1 per cell]
O 0.4607 0.2954 0.0245 [1 per cell]
O 0.4631 0.1584 0.5237 [1 per cell]
O 0.4676 0.1634 0.2345 [1 per cell]
O 0.4701 0.3052 0.7341 [1 per cell]
O 0.4944 0.1338 0.6335 [1 per cell]
O 0.4941 0.3587 0.4224 [1 per cell]
O 0.4947 0.3564 0.1347 [1 per cell]
O 0.4970 0.1323 0.9223 [1 per cell]
O 0.4980 0.6417 0.5702 [1 per cell]
O 0.5010 0.6395 0.8529 [1 per cell]
O 0.5052 0.8629 0.3566 [1 per cell]
O 0.5057 0.8665 0.0717 [1 per cell]
O 0.5301 0.8361 0.7498 [1 per cell]
O 0.5328 0.7051 0.9708 [1 per cell]
O 0.5341 0.6963 0.2534 [1 per cell]
O 0.5358 0.8284 0.4691 [1 per cell]
O 0.6344 0.1307 0.4225 [1 per cell]
O 0.6352 0.4919 0.9227 [1 per cell]
O 0.6392 0.5068 0.6333 [1 per cell]
O 0.6450 0.1374 0.1347 [1 per cell]
O 0.6959 0.5346 0.5236 [1 per cell]
O 0.6985 0.1653 0.7341 [1 per cell]
O 0.6989 0.5344 0.2343 [1 per cell]
O 0.7028 0.1631 0.0246 [1 per cell]
O 0.8044 0.9738 0.4038 [1 per cell]
O 0.8064 0.8362 0.1876 [1 per cell]
O 0.8063 0.9678 0.6873 [1 per cell]
O 0.8180 0.8376 0.9040 [1 per cell]
O 0.8296 0.0270 0.7989 [1 per cell]
O 0.8354 0.5368 0.0245 [1 per cell]
O 0.8346 0.8028 0.2991 [1 per cell]
O 0.8363 0.8104 0.5868 [1 per cell]
O 0.8380 0.5321 0.7338 [1 per cell]
O 0.8403 0.0261 0.0879 [1 per cell]
O 0.8398 0.3023 0.5239 [1 per cell]
O 0.8402 0.3052 0.2343 [1 per cell]
O 0.8552 0.3551 0.9225 [1 per cell]
O 0.8567 0.4955 0.4228 [1 per cell]
O 0.8654 0.5064 0.1344 [1 per cell]
O 0.8686 0.3606 0.6334 [1 per cell]
O 0.9704 0.1683 0.2992 [1 per cell]
O 0.9724 0.8126 0.0877 [1 per cell]
O 0.9748 0.1621 0.5870 [1 per cell]
O 0.9748 0.8004 0.7988 [1 per cell]

Summary:
- final energy (eV per atom) = -8.06
- formation energy (meV/atom) = -3051
- crystal system = triclinic
- spin magnetization (μB per cell) = 0.000